# 1
Li2TeMoO6: relaxed, PBE+U.

Lattice parameters (Å, degrees): 5.461 13.246 8.618 90.00 124.68 90.00
Space group P2_1/c (No. 14)
Inequivalent atoms, fractional coordinates:
Li (0.034, 0.069, 0.234) x4
Li (0.259, 0.147, 0.016) x4
Te (0.186, 0.707, 0.934) x4
Mo (0.473, 0.091, 0.754) x4
O (0.163, 0.055, 0.764) x4
O (0.194, 0.692, 0.710) x4
O (0.216, 0.250, 0.191) x4
O (0.304, 0.020, 0.163) x4
O (0.311, 0.091, 0.507) x4
O (0.333, 0.656, 0.467) x4

Properties
E (MP2020) (eV per atom): -6.765
DFT total energy (eV per atom): -6.032
Formation enthalpy at 0 K (meV per atom): -2015
Magnetic moment (Bohr magnetons per cell): 0.00


# 2
Li2UMo2O10: relaxed, PBE+U.

Lattice parameters (Å, degrees): 5.509 5.935 8.386 108.21 100.10 104.71
Space group P-1 (No. 2)
Inequivalent atoms, fractional coordinates:
Li (0.022, 0.284, 0.075) x2
U (0.500, 0.500, 0.500) x1
Mo (0.417, 0.149, 0.800) x2
O (0.192, 0.072, 0.918) x2
O (0.192, 0.435, 0.340) x2
O (0.280, 0.639, 0.050) x2
O (0.298, 0.292, 0.653) x2
O (0.468, 0.865, 0.671) x2

Properties
E (MP2020) (eV per atom): -8.301
DFT total energy (eV per atom): -7.416
Formation enthalpy at 0 K (meV per atom): -2549
Energy above the lowest structure with this stoichiometry (eV per atom): 0.000
Magnetic moment (Bohr magnetons per cell): 0.00